Record 1
! Cr4OF11 PBE+U relaxed; values from VASP
&SYSTEM
  ibrav = 0, nat = 32, ntyp = 3
/
ATOMIC_SPECIES
Cr 52.00 Cr.upf
O 16.00 O.upf
F 19.00 F.upf
ATOMIC_POSITIONS angstrom
Cr 0.0000 0.0000 0.0000
Cr 2.4134 1.1414 10.4046
Cr 2.5171 1.3716 4.1961
Cr 5.0949 2.5744 14.5866
Cr 5.1093 2.7185 8.4361
Cr 5.0540 3.0427 2.1032
Cr 7.4729 4.1458 12.6161
Cr 7.5864 4.4224 6.3054
O 6.5990 3.5196 14.1003
O 6.6099 1.7709 8.9210
F 4.4206 4.0623 15.6512
F 1.5555 0.7189 5.7529
F 3.5083 3.7364 7.8359
F 4.0390 3.1773 13.0727
F 3.4974 1.5422 15.1679
F 3.1068 2.9027 5.2449
F 4.4283 4.5661 3.1431
F 4.0620 2.0934 9.9500
F 5.9765 5.1741 11.9714
F 4.0844 3.6975 0.5495
F 3.4764 2.0351 2.6399
F 5.6220 4.3050 9.4312
F 4.4517 1.2500 7.3436
F 5.9836 1.8731 16.1723
F 4.0958 0.3720 4.7446
F 6.0040 3.4428 6.8676
F 5.6267 0.9958 13.5774
F 6.9261 2.6461 11.5049
F 6.6318 4.0557 1.5676
F 5.9963 2.3580 3.6601
F 8.5103 4.8200 11.0412
F 5.6758 1.5245 1.0499
CELL_PARAMETERS angstrom
5.0694 0.0000 0.0000
2.5241 4.7149 0.0000
2.5036 0.8833 16.7099
! MP2020-corrected energy   -6.919 eV/atom
! DFT formation energy   -278 kJ/mol of atoms
! Distance to the lowest polymorph of the same formula   0.000 eV/atom
! Crystal system   triclinic

Record 2
! Cr4OF11 PBE+U relaxed; values from VASP
&SYSTEM
  ibrav = 0, nat = 32, ntyp = 3
/
ATOMIC_SPECIES
Cr 52.00 Cr.upf
O 16.00 O.upf
F 19.00 F.upf
ATOMIC_POSITIONS angstrom
Cr 0.0000 0.0000 0.0000
Cr 2.4628 1.9330 8.3562
Cr 2.5339 1.6728 2.1047
Cr 4.9833 3.5509 10.4952
Cr 4.9854 0.6997 12.4657
Cr 5.1197 3.3780 4.2235
Cr 4.9720 0.2520 6.1968
Cr 7.5264 2.3096 14.6028
O 4.3741 2.1262 11.4806
O 6.6157 4.3291 4.7081
F 4.0581 3.9962 5.7362
F 1.5764 0.9996 0.5429
F 4.0442 2.9580 8.8988
F 4.0292 1.2970 14.0584
F 3.0582 0.4258 9.4254
F 3.1493 3.1769 1.0448
F 1.9056 0.1444 3.1451
F 5.9310 3.2853 15.1503
F 3.4319 -0.3848 11.9876
F 3.4543 1.2988 6.7976
F 3.5120 2.3539 3.6455
F 4.1054 0.6612 1.5518
F 6.5922 2.6403 9.9069
F 6.5835 1.6193 13.0436
F 8.1106 3.8319 13.5429
F 5.6535 1.8084 5.2260
F 6.9319 3.4748 7.3149
F 6.9014 0.7834 15.6481
F 6.0206 2.6563 2.6485
F 8.4710 2.9553 16.1715
F 5.9769 0.9578 7.7611
F 5.9802 -0.0591 10.9792
CELL_PARAMETERS angstrom
5.0838 0.0000 0.0000
2.5269 4.6951 0.0000
2.4362 -0.7289 16.7024
! MP2020-corrected energy   -6.919 eV/atom
! DFT formation energy   -278 kJ/mol of atoms
! Distance to the lowest polymorph of the same formula   0.000 eV/atom
! Crystal system   triclinic

Record 3
! Cr4OF11 PBE+U relaxed; values from VASP
&SYSTEM
  ibrav = 0, nat = 32, ntyp = 3
/
ATOMIC_SPECIES
Cr 52.00 Cr.upf
O 16.00 O.upf
F 19.00 F.upf
ATOMIC_POSITIONS angstrom
Cr 0.0000 0.0000 0.0000
Cr 2.4725 1.9347 8.4209
Cr 4.8415 3.5081 10.4176
Cr 2.5151 1.6701 2.0974
Cr 4.9092 0.4873 12.5443
Cr 5.0696 3.3589 4.2584
Cr 4.9447 0.2170 6.2406
Cr 7.4243 2.1549 14.6530
O 3.3588 2.5590 9.9241
O 5.9388 3.9754 5.7432
F 1.8909 3.1819 1.0402
F 1.8238 0.3701 9.4137
F 0.9364 0.6604 1.5679
F 3.3314 1.4905 13.1038
F 3.4232 4.3056 4.7228
F 3.9462 -0.1879 10.9983
F 4.0110 0.9151 7.8145
F 4.0747 2.6657 2.6849
F 6.4448 2.8228 16.2059
F 5.5147 2.0358 11.5067
F 3.1213 0.1259 3.1420
F 6.8146 3.6817 13.6037
F 4.4049 1.7852 5.2224
F 5.8514 1.1508 14.1152
F 3.4821 0.9918 0.5467
F 5.9157 2.8991 8.9111
F 6.5319 1.2291 6.8656
F 6.5074 -0.4900 11.9922
F 6.5887 2.3187 3.6514
F 8.9992 3.1609 15.1817
F 8.0382 0.6334 15.7098
F 8.1073 3.4411 7.3170
CELL_PARAMETERS angstrom
5.0750 0.0000 0.0000
2.5006 4.7193 0.0000
2.3572 -0.9001 16.7517
! MP2020-corrected energy   -6.919 eV/atom
! DFT formation energy   -278 kJ/mol of atoms
! Distance to the lowest polymorph of the same formula   0.000 eV/atom
! Crystal system   triclinic

Record 4
! CrOF3 PBE+U relaxed; values from VASP
&SYSTEM
  ibrav = 0, nat = 20, ntyp = 3
/
ATOMIC_SPECIES
Cr 52.00 Cr.upf
O 16.00 O.upf
F 19.00 F.upf
ATOMIC_POSITIONS angstrom
Cr 0.3774 3.3046 0.0000
Cr 2.0272 0.3774 2.2798
Cr 3.3046 4.9545 6.8394
Cr 4.9545 2.0272 4.5596
O 0.9701 2.2125 5.3312
O 2.2125 4.3617 3.0514
O 3.1194 0.9701 7.6110
O 4.3617 3.1194 0.7716
F 0.3375 0.9529 3.0758
F 0.4284 1.9482 7.9902
F 0.9529 4.9944 0.7960
F 1.5424 2.4332 1.0984
F 1.9482 4.9034 5.7104
F 2.4332 3.7895 7.9378
F 2.8987 1.5424 3.3782
F 3.3837 0.4284 1.1509
F 3.7895 2.8987 5.6580
F 4.3789 0.3375 5.3556
F 4.9034 3.3837 3.4306
F 4.9944 4.3789 7.6354
CELL_PARAMETERS angstrom
5.3319 0.0000 0.0000
0.0000 5.3319 0.0000
0.0000 0.0000 9.1192
! MP2020-corrected energy   -6.308 eV/atom
! DFT formation energy   -216 kJ/mol of atoms
! Maximum piezoelectric response   2.0 C/m2
! Crystal system   tetragonal

Record 5
! Cr4OF11 PBE+U relaxed; values from VASP
&SYSTEM
  ibrav = 0, nat = 32, ntyp = 3
/
ATOMIC_SPECIES
Cr 52.00 Cr.upf
O 16.00 O.upf
F 19.00 F.upf
ATOMIC_POSITIONS angstrom
Cr 0.0000 0.0000 0.0000
Cr 2.4488 1.8689 8.3893
Cr 4.9846 3.7252 10.3656
Cr 2.5360 1.6778 2.0921
Cr 5.0052 0.6417 12.5040
Cr 5.1083 3.3668 4.2445
Cr 4.9627 0.2251 6.2213
Cr 7.5253 2.2960 14.6020
O 1.8510 0.4547 9.3868
O 5.9776 4.0023 5.7293
F 1.8930 3.1756 1.0382
F 3.4109 1.6163 13.0532
F 0.9529 0.6687 1.5573
F 3.4344 2.6393 9.8765
F 3.4674 4.3246 4.7071
F 4.0974 2.6743 2.6809
F 4.0601 0.9742 7.7896
F 6.5499 2.9579 16.1555
F 4.0634 -0.0512 10.9462
F 5.5810 2.1679 11.4477
F 3.1578 0.1461 3.1280
F 6.9080 3.8089 13.5502
F 4.4420 1.8082 5.2145
F 5.9497 1.2886 14.0736
F 3.4939 0.9972 0.5388
F 5.9844 2.9657 8.8886
F 6.5692 1.2653 6.8113
F 6.5902 -0.3670 11.9574
F 6.6277 2.3298 3.6450
F 9.1044 3.2948 15.1337
F 8.1243 3.4559 7.3155
F 8.1520 0.7824 15.6514
CELL_PARAMETERS angstrom
5.0814 0.0000 0.0000
2.5213 4.6946 0.0000
2.4492 -0.7314 16.6956
! MP2020-corrected energy   -6.919 eV/atom
! DFT formation energy   -278 kJ/mol of atoms
! Distance to the lowest polymorph of the same formula   0.000 eV/atom
! Crystal system   triclinic

Record 6
! Cr4OF11 PBE+U relaxed; values from VASP
&SYSTEM
  ibrav = 0, nat = 32, ntyp = 3
/
ATOMIC_SPECIES
Cr 52.00 Cr.upf
O 16.00 O.upf
F 19.00 F.upf
ATOMIC_POSITIONS angstrom
Cr 0.0000 0.0000 0.0000
Cr 2.4635 1.9389 8.3649
Cr 5.0011 3.5991 10.4689
Cr 2.5870 1.6953 2.1344
Cr 4.9688 3.2675 4.1110
Cr 4.9825 0.5044 12.6107
Cr 7.5149 2.3522 14.5833
Cr 5.0155 0.2610 6.2671
O 4.0856 2.6419 2.6223
O 6.9036 3.7787 13.5934
F 1.8475 0.4216 9.4163
F 1.9107 3.1610 1.0482
F 3.4139 2.6149 9.9268
F 3.4453 4.3118 4.7104
F 3.4148 1.5872 13.0955
F 0.9778 0.6637 1.5502
F 4.0570 0.9450 7.8245
F 6.5516 2.9457 16.1773
F 4.0473 -0.0846 11.0068
F 5.5837 2.0778 11.5351
F 3.1191 0.1196 3.1387
F 4.3935 1.7950 5.2289
F 3.4913 0.9643 0.5599
F 5.9757 2.9468 8.9078
F 5.9812 3.9683 5.6806
F 5.9575 1.2638 14.1039
F 6.6133 2.3094 3.6470
F 6.6003 1.2745 6.8050
F 6.5926 -0.4077 12.0202
F 9.1131 3.2712 15.1795
F 8.1091 0.7808 15.6627
F 8.1869 3.4617 7.3208
CELL_PARAMETERS angstrom
5.0955 0.0000 0.0000
2.5318 4.7040 0.0000
2.4449 -0.7348 16.7397
! MP2020-corrected energy   -6.919 eV/atom
! DFT formation energy   -278 kJ/mol of atoms
! Distance to the lowest polymorph of the same formula   0.000 eV/atom
! Crystal system   triclinic

Record 7
! Cr4OF11 PBE+U relaxed; values from VASP
&SYSTEM
  ibrav = 0, nat = 32, ntyp = 3
/
ATOMIC_SPECIES
Cr 52.00 Cr.upf
O 16.00 O.upf
F 19.00 F.upf
ATOMIC_POSITIONS angstrom
Cr 0.0000 0.0000 0.0000
Cr 2.5210 1.1434 10.5724
Cr 2.5173 1.4149 4.2370
Cr 5.0647 2.4123 14.7190
Cr 5.0504 2.7560 8.4324
Cr 5.0698 3.0732 2.1346
Cr 7.6044 3.9838 12.5445
Cr 7.6028 4.4162 6.3366
O 3.1187 2.5532 11.5611
O 5.6893 3.8337 15.7116
F 1.5493 2.0758 2.6828
F 0.9419 0.4169 4.7950
F 4.4679 4.2503 9.5154
F 4.0814 1.6571 16.2077
F 3.5063 4.1070 1.5913
F 3.4597 1.7511 8.9743
F 4.0951 3.4165 6.8657
F 4.4995 0.8623 13.6253
F 4.0835 2.4413 3.6935
F 3.4808 0.7416 5.7936
F 6.6279 4.7454 11.0485
F 6.0053 3.0428 13.1281
F 5.6936 4.5972 3.1766
F 4.4913 1.5530 1.0822
F 6.0157 2.0465 9.9683
F 6.6515 3.7301 7.8938
F 6.6230 1.3355 15.2239
F 6.0417 3.7525 0.5862
F 5.6792 1.2390 7.3911
F 6.9639 2.9238 5.2724
F 9.1627 5.0586 12.0487
F 8.5651 3.3618 14.1329
CELL_PARAMETERS angstrom
5.0969 0.0000 0.0000
2.5424 4.6790 0.0000
2.5327 0.5650 16.6868
! MP2020-corrected energy   -6.918 eV/atom
! DFT formation energy   -278 kJ/mol of atoms
! Distance to the lowest polymorph of the same formula   0.001 eV/atom
! Crystal system   triclinic

Record 8
! CrOF PBE+U relaxed; values from VASP
&SYSTEM
  ibrav = 0, nat = 24, ntyp = 3
/
ATOMIC_SPECIES
Cr 52.00 Cr.upf
O 16.00 O.upf
F 19.00 F.upf
ATOMIC_POSITIONS angstrom
Cr 0.3325 0.7657 4.9728
Cr 1.9319 2.2970 2.5395
Cr 1.2936 0.7657 11.5957
Cr 1.9336 2.2970 7.5093
Cr 4.5150 0.7657 4.2685
Cr 5.1550 2.2970 0.1821
Cr 4.5167 0.7657 9.2383
Cr 6.1161 2.2970 6.8050
O 0.4189 2.2970 3.7403
O 0.2879 2.2970 6.3882
O 2.6984 0.7657 3.4852
O 3.2901 2.2970 0.9210
O 3.1584 0.7657 10.8568
O 3.7502 2.2970 8.2926
O 6.1607 0.7657 5.3896
O 6.0296 0.7657 8.0375
F 1.1420 0.7657 1.2871
F 0.5163 2.2970 10.6169
F 1.4046 0.7657 8.6061
F 2.3705 0.7657 6.3233
F 4.0781 2.2970 5.4545
F 5.0439 2.2970 3.1717
F 5.9322 0.7657 1.1609
F 5.3066 2.2970 10.4907
CELL_PARAMETERS angstrom
7.7463 0.0000 0.0000
0.0000 3.0626 0.0000
-1.2977 0.0000 11.7778
! MP2020-corrected energy   -8.073 eV/atom
! DFT formation energy   -248 kJ/mol of atoms
! Crystal system   monoclinic

Record 9
! Cr4OF11 PBE+U relaxed; values from VASP
&SYSTEM
  ibrav = 0, nat = 32, ntyp = 3
/
ATOMIC_SPECIES
Cr 52.00 Cr.upf
O 16.00 O.upf
F 19.00 F.upf
ATOMIC_POSITIONS angstrom
Cr 0.0000 0.0000 0.0000
Cr 2.4540 1.9318 8.3365
Cr 2.5303 1.6638 2.1002
Cr 4.9909 3.5922 10.4468
Cr 4.9774 0.5089 12.5826
Cr 5.0958 3.3532 4.2522
Cr 7.4969 2.3563 14.5434
Cr 4.9466 0.2300 6.2174
O 6.8804 3.7761 13.5605
O 5.9699 3.9710 5.7411
F 1.8961 3.1638 1.0435
F 1.8514 0.4227 9.3984
F 3.4072 2.6103 9.8970
F 0.9504 0.6510 1.5647
F 3.4152 1.5928 13.0627
F 3.4528 4.3075 4.7067
F 4.0479 0.9543 7.7898
F 4.0938 2.6558 2.6838
F 6.5443 2.9519 16.1376
F 4.0506 -0.0802 10.9798
F 5.5768 2.0785 11.5155
F 3.1556 0.1325 3.1385
F 4.4094 1.7973 5.2144
F 3.4806 0.9756 0.5463
F 5.9607 2.9450 8.8884
F 5.9445 1.2666 14.0781
F 6.5526 1.2554 6.7949
F 6.6139 2.3083 3.6551
F 6.5847 -0.4031 11.9987
F 9.0975 3.2729 15.1216
F 8.0985 0.7953 15.6216
F 8.1528 3.4637 7.2973
CELL_PARAMETERS angstrom
5.0758 0.0000 0.0000
2.5182 4.6917 0.0000
2.4456 -0.7249 16.6814
! MP2020-corrected energy   -6.918 eV/atom
! DFT formation energy   -278 kJ/mol of atoms
! Distance to the lowest polymorph of the same formula   0.001 eV/atom
! Crystal system   triclinic

Record 10
! CrOF PBE+U relaxed; values from VASP
&SYSTEM
  ibrav = 0, nat = 12, ntyp = 3
/
ATOMIC_SPECIES
Cr 52.00 Cr.upf
O 16.00 O.upf
F 19.00 F.upf
ATOMIC_POSITIONS angstrom
Cr 6.4634 0.9224 4.2084
Cr 3.8603 0.7006 5.7881
Cr 0.2973 0.1018 1.4937
Cr 10.0263 1.5212 8.5027
O 5.0077 -0.4405 4.5800
O 11.1737 0.3801 7.2947
O -0.8500 1.2429 2.7018
O 5.3159 2.0635 5.4165
F 1.2015 -0.9470 2.9043
F 7.3676 -0.1264 5.6190
F 2.9560 1.7494 4.3775
F 9.1221 2.5700 7.0922
CELL_PARAMETERS angstrom
-0.4790 -2.4021 1.8140
12.3320 1.6411 5.4293
-1.5294 2.3840 2.7531
! MP2020-corrected energy   -8.157 eV/atom
! DFT formation energy   -256 kJ/mol of atoms

Record 11
! CrOF PBE+U relaxed; values from VASP
&SYSTEM
  ibrav = 0, nat = 12, ntyp = 3
/
ATOMIC_SPECIES
Cr 52.00 Cr.upf
O 16.00 O.upf
F 19.00 F.upf
ATOMIC_POSITIONS angstrom
Cr 1.1610 0.7635 0.4341
Cr 3.6582 2.2906 2.8660
Cr 5.9802 0.7635 1.9978
Cr 8.4774 2.2906 4.4297
O 0.1188 2.2906 1.0362
O 4.7004 0.7635 3.4681
O 4.9380 2.2906 1.3957
O 9.5196 0.7635 3.8276
F 2.3453 2.2906 4.4869
F 2.4739 0.7635 2.0550
F 7.1645 2.2906 2.8088
F 7.2931 0.7635 0.3769
CELL_PARAMETERS angstrom
9.6384 0.0000 0.0000
0.0000 3.0541 0.0000
0.0000 0.0000 4.8638
! MP2020-corrected energy   -8.059 eV/atom
! DFT formation energy   -246 kJ/mol of atoms
! Crystal system   orthorhombic

Record 12
! CrO2F2 PBE+U relaxed; values from VASP
&SYSTEM
  ibrav = 0, nat = 20, ntyp = 3
/
ATOMIC_SPECIES
Cr 52.00 Cr.upf
O 16.00 O.upf
F 19.00 F.upf
ATOMIC_POSITIONS angstrom
Cr 1.0507 0.3331 3.4731
Cr 0.9045 2.2477 8.0702
Cr 4.8841 2.9140 1.1239
Cr 4.7379 4.8285 5.7210
O 1.5712 0.9416 8.6515
O 1.7174 1.6392 4.0545
O 2.0938 3.1028 7.4790
O 2.2400 4.6397 2.8820
O 3.5486 0.5220 6.3121
O 3.6948 2.0589 1.7151
O 4.0712 3.5225 5.1396
O 4.2174 4.2200 0.5426
F 0.2502 0.9117 1.9949
F 0.1040 1.6691 6.5919
F 0.8719 3.2707 0.3803
F 0.7257 4.4718 4.9774
F 5.0629 0.6898 4.2167
F 4.9167 1.8910 8.8138
F 5.6846 3.4925 2.6022
F 5.5384 4.2500 7.1992
CELL_PARAMETERS angstrom
6.0810 0.0000 0.0000
0.0000 5.1617 0.0000
-0.2924 0.0000 9.1941
! MP2020-corrected energy   -6.525 eV/atom
! DFT formation energy   -178 kJ/mol of atoms
! Crystal system   monoclinic

Record 13
! Cr4OF11 PBE+U relaxed; values from VASP
&SYSTEM
  ibrav = 0, nat = 16, ntyp = 3
/
ATOMIC_SPECIES
Cr 52.00 Cr.upf
O 16.00 O.upf
F 19.00 F.upf
ATOMIC_POSITIONS angstrom
Cr 0.0000 0.0000 0.0000
Cr 2.4235 4.3576 6.3755
Cr 4.9645 6.0433 4.2250
Cr 4.9891 3.0105 2.1202
O 1.5607 3.7453 7.8679
F 1.5096 2.0071 2.6724
F 3.0945 5.9252 7.3413
F 1.8582 2.8718 5.2661
F 3.4062 5.0445 4.8025
F 3.3973 3.9946 1.5756
F 4.0660 3.4062 6.8334
F 4.0472 2.3466 3.6882
F 5.5933 4.5323 3.1740
F 4.3783 1.4706 1.0819
F 5.9572 5.3951 5.7778
F 5.9508 3.6846 0.5722
CELL_PARAMETERS angstrom
5.0568 0.0000 0.0000
2.4918 4.7078 0.0000
0.0728 2.7931 8.3453
! MP2020-corrected energy   -6.919 eV/atom
! DFT formation energy   -278 kJ/mol of atoms
! Distance to the lowest polymorph of the same formula   0.000 eV/atom
! Crystal system   triclinic

Number 1: raw total energy -193.87 eV per cell. Number 2: raw total energy -193.86 eV per cell. Number 3: raw total energy -193.87 eV per cell. Number 4: raw total energy -109.87 eV per cell. Number 5: raw total energy -193.87 eV per cell. Number 6: raw total energy -193.87 eV per cell. Number 7: raw total energy -193.85 eV per cell. Number 8: raw total energy -168.57 eV per cell. Number 9: raw total energy -193.86 eV per cell. Number 10: raw total energy -85.29 eV per cell. Number 11: raw total energy -84.12 eV per cell. Number 12: raw total energy -113.30 eV per cell. Number 13: raw total energy -96.93 eV per cell.